# 1
Below is a geometry-optimized K2NaTlCl6 structure, with properties calculated at the PBE level.

Results
energy relative to the elements: -1.77 eV/atom
total energy: -30.975 eV for the cell shown
M_tot: 0.00 μB/cell
space-group type: Fm-3m

POSCAR file:
```
K2NaTlCl6
1.0
0.0000 5.3430 5.3430
5.3430 0.0000 5.3430
5.3430 5.3430 0.0000
K Na Tl Cl
2 1 1 6
Direct
0.2500 0.2500 0.2500
0.7500 0.7500 0.7500
0.0000 0.0000 0.0000
0.5000 0.5000 0.5000
0.2558 0.2558 0.7442
0.2558 0.7442 0.2558
0.2558 0.7442 0.7442
0.7442 0.2558 0.2558
0.7442 0.2558 0.7442
0.7442 0.7442 0.2558
```

# 2
Below is a geometry-optimized Na2Cu2Si4O11 structure, with properties calculated at the PBE level.

Results
energy relative to the elements: -2.57 eV/atom
total energy: -128.168 eV for the cell shown
M_tot: 2.00 μB/cell
space-group type: P-1

POSCAR file:
```
Na2Cu2Si4O11
1.0
5.2462 0.0000 0.0000
-1.1928 6.2515 0.0000
-0.9850 -1.1791 8.2189
Na Cu Si O
2 2 4 11
Direct
0.1315 0.1478 0.3048
0.8685 0.8522 0.6952
0.2966 0.6114 0.5713
0.7034 0.3886 0.4287
0.0154 0.6347 0.1791
0.4060 0.1561 0.6896
0.5940 0.8439 0.3104
0.9846 0.3653 0.8209
0.0000 0.5000 0.0000
0.0028 0.4770 0.3166
0.2214 0.2278 0.8273
0.2772 0.9123 0.6099
0.2915 0.8216 0.2151
0.4048 0.3263 0.5541
0.5952 0.6737 0.4459
0.7085 0.1784 0.7849
0.7228 0.0877 0.3901
0.7786 0.7722 0.1727
0.9972 0.5230 0.6834
```

# 3
Below is a geometry-optimized NdNiAs structure, with properties calculated at the PBE level.

Results
energy relative to the elements: -1.03 eV/atom
total energy: -73.152 eV for the cell shown
space-group type: P6_3/mmc

POSCAR file:
```
NdNiAs
1.0
4.1319 0.0000 0.0000
-2.0660 3.5784 0.0000
0.0000 0.0000 16.2096
Nd Ni As
4 4 4
Direct
0.0000 0.0000 0.0000
0.0000 0.0000 0.2500
0.0000 0.0000 0.5000
0.0000 0.0000 0.7500
0.3333 0.6667 0.1279
0.3333 0.6667 0.3721
0.6667 0.3333 0.6279
0.6667 0.3333 0.8721
0.3333 0.6667 0.6235
0.3333 0.6667 0.8765
0.6667 0.3333 0.1235
0.6667 0.3333 0.3765
```

# 4
Below is a geometry-optimized GdAl3Pb2O8 structure, with properties calculated at the PBE level.

Results
energy relative to the elements: -2.98 eV/atom
total energy: -434.154 eV for the cell shown
M_tot: 28.00 μB/cell
space-group type: Pn-3m

POSCAR file:
```
GdAl3Pb2O8
1.0
9.5783 0.0000 0.0000
0.0000 9.5783 0.0000
0.0000 0.0000 9.5783
Gd Al Pb O
4 12 8 32
Direct
0.0000 0.0000 0.0000
0.0000 0.5000 0.5000
0.5000 0.0000 0.5000
0.5000 0.5000 0.0000
0.0000 0.2500 0.7500
0.0000 0.7500 0.2500
0.2500 0.0000 0.7500
0.2500 0.5000 0.7500
0.2500 0.7500 0.0000
0.2500 0.7500 0.5000
0.5000 0.2500 0.7500
0.5000 0.7500 0.2500
0.7500 0.0000 0.2500
0.7500 0.2500 0.0000
0.7500 0.2500 0.5000
0.7500 0.5000 0.2500
0.1165 0.1165 0.3835
0.1165 0.3835 0.1165
0.3835 0.1165 0.1165
0.3835 0.3835 0.3835
0.6165 0.6165 0.6165
0.6165 0.8835 0.8835
0.8835 0.6165 0.8835
0.8835 0.8835 0.6165
0.0924 0.0924 0.7642
0.0924 0.4076 0.7358
0.0924 0.7358 0.4076
0.0924 0.7642 0.0924
0.1384 0.1384 0.1384
0.1384 0.3616 0.3616
0.2358 0.5924 0.5924
0.2358 0.9076 0.9076
0.2642 0.5924 0.9076
0.2642 0.9076 0.5924
0.3616 0.1384 0.3616
0.3616 0.3616 0.1384
0.4076 0.0924 0.7358
0.4076 0.4076 0.7642
0.4076 0.7358 0.0924
0.4076 0.7642 0.4076
0.5924 0.2358 0.5924
0.5924 0.2642 0.9076
0.5924 0.5924 0.2358
0.5924 0.9076 0.2642
0.6384 0.6384 0.8616
0.6384 0.8616 0.6384
0.7358 0.0924 0.4076
0.7358 0.4076 0.0924
0.7642 0.0924 0.0924
0.7642 0.4076 0.4076
0.8616 0.6384 0.6384
0.8616 0.8616 0.8616
0.9076 0.2358 0.9076
0.9076 0.2642 0.5924
0.9076 0.5924 0.2642
0.9076 0.9076 0.2358
```

# 5
Below is a geometry-optimized ThZr2H7 structure, with properties calculated at the PBE level.

Results
energy relative to the elements: -0.56 eV/atom
total energy: -105.234 eV for the cell shown
M_tot: 0.00 μB/cell
space-group type: Fd-3m

POSCAR file:
```
ThZr2H7
1.0
0.0000 4.6769 4.6769
4.6769 0.0000 4.6769
4.6769 4.6769 0.0000
Th Zr H
2 4 14
Direct
0.1250 0.1250 0.1250
0.8750 0.8750 0.8750
0.0000 0.5000 0.5000
0.5000 0.0000 0.5000
0.5000 0.5000 0.0000
0.5000 0.5000 0.5000
0.1232 0.1232 0.6268
0.1232 0.6268 0.1232
0.1232 0.6268 0.6268
0.3732 0.3732 0.8768
0.3732 0.8768 0.3732
0.3732 0.8768 0.8768
0.3750 0.3750 0.3750
0.6250 0.6250 0.6250
0.6268 0.1232 0.1232
0.6268 0.1232 0.6268
0.6268 0.6268 0.1232
0.8768 0.3732 0.3732
0.8768 0.3732 0.8768
0.8768 0.8768 0.3732
```

# 6
Below is a geometry-optimized MgC structure, with properties calculated at the PBE level.

Results
energy relative to the elements: 1.24 eV/atom
total energy: -8.357 eV for the cell shown
M_tot: 0.00 μB/cell
space-group type: Pm-3m

POSCAR file:
```
MgC
1.0
2.8040 0.0000 0.0000
0.0000 2.8040 0.0000
0.0000 0.0000 2.8040
Mg C
1 1
Direct
0.0000 0.0000 0.0000
0.5000 0.5000 0.5000
```